Below is an optimized crystal structure of ScCrC2, with properties calculated at the GGA-PBE level.

For the formation energy, the calculation gives -1.4 eV per formula unit.

The space group is P6_3/mmc (No. 194) and the conventional cell measures 3.2584, 3.2584 and 9.0281 Å, with angles of 90.00, 90.00 and 120.00 degrees. Symmetry generates all atoms from Sc at (0.0000, 0.0000, 0.0000), Cr at (0.3333, 0.6667, 0.2500) and C at (0.3333, 0.6667, 0.6654).